This record from the Materials Project database describes a relaxed structure of Fe2SiS4. The functional is PBE.

raw total energy: -5.86 eV per atom
ΔH_f (0 K): -0.5885 eV per atom
E above lowest polymorph: 0.069 eV/atom
total magnetization: 7.5 μB per formula unit

Unit cell a=6.984 b=6.984 c=6.984 alpha=60.00 beta=60.00 gamma=60.00
Fractional coordinates of all 14 atoms:
Fe1 0.000 0.000 0.000
Fe2 0.000 0.000 0.500
Fe3 0.000 0.500 0.000
Fe4 0.500 0.000 0.000
Si1 0.375 0.375 0.375
Si2 0.625 0.625 0.625
S1 0.242 0.753 0.753
S2 0.247 0.247 0.247
S3 0.247 0.247 0.758
S4 0.247 0.758 0.247
S5 0.753 0.242 0.753
S6 0.753 0.753 0.242
S7 0.753 0.753 0.753
S8 0.758 0.247 0.247

This record from the Materials Project database describes a relaxed structure of Fe2SiS4. The functional is PBE.

raw total energy: -5.89 eV per atom
ΔH_f (0 K): -0.6161 eV per atom
E above lowest polymorph: 0.041 eV/atom
total magnetization: 6.8 μB per formula unit

Unit cell a=12.167 b=7.027 c=5.808 alpha=90.00 beta=90.00 gamma=90.00
Fractional coordinates of all 28 atoms:
Fe1 0.000 0.000 0.000
Fe2 0.000 0.500 0.000
Fe3 0.238 0.250 0.493
Fe4 0.262 0.750 0.993
Fe5 0.500 0.000 0.500
Fe6 0.500 0.500 0.500
Fe7 0.738 0.250 0.007
Fe8 0.762 0.750 0.507
Si1 0.088 0.750 0.408
Si2 0.412 0.250 0.908
Si3 0.588 0.750 0.092
Si4 0.912 0.250 0.592
S1 0.075 0.250 0.741
S2 0.092 0.750 0.777
S3 0.168 0.509 0.249
S4 0.168 0.991 0.249
S5 0.332 0.009 0.749
S6 0.332 0.491 0.749
S7 0.408 0.250 0.277
S8 0.425 0.750 0.241
S9 0.575 0.250 0.759
S10 0.592 0.750 0.723
S11 0.668 0.509 0.251
S12 0.668 0.991 0.251
S13 0.832 0.009 0.751
S14 0.832 0.491 0.751
S15 0.908 0.250 0.223
S16 0.925 0.750 0.259

This record from the Materials Project database describes a relaxed structure of Fe2SnS4. The functional is PBE.

raw total energy: -5.63 eV per atom
ΔH_f (0 K): -0.5597 eV per atom
total magnetization: 4.0 μB per formula unit

Unit cell a=7.000 b=7.000 c=7.000 alpha=120.46 beta=119.07 gamma=90.41
Fractional coordinates of all 14 atoms:
Fe1 0.000 0.000 0.500
Fe2 0.000 0.500 0.000
Fe3 0.383 0.133 0.250
Fe4 0.617 0.867 0.750
Sn1 0.000 0.500 0.500
Sn2 0.500 0.500 0.000
S1 0.213 0.239 0.975
S2 0.236 0.761 0.475
S3 0.237 0.215 0.478
S4 0.237 0.758 0.022
S5 0.763 0.242 0.978
S6 0.763 0.785 0.522
S7 0.764 0.239 0.525
S8 0.787 0.761 0.025

This record from the Materials Project database describes a relaxed structure of Fe3Sn2S8. The functional is PBE.

raw total energy: -5.44 eV per atom
ΔH_f (0 K): -0.6306 eV per atom
total magnetization: 6.0 μB per formula unit

Unit cell a=7.150 b=7.150 c=7.150 alpha=121.80 beta=117.93 gamma=90.27
Fractional coordinates of all 13 atoms:
Fe1 0.000 0.000 0.000
Fe2 0.385 0.147 0.763
Fe3 0.385 0.622 0.237
Sn1 0.390 0.629 0.761
Sn2 0.867 0.629 0.239
S1 0.150 0.393 0.243
S2 0.150 0.908 0.757
S3 0.164 0.884 0.280
S4 0.170 0.377 0.793
S5 0.584 0.377 0.207
S6 0.604 0.884 0.720
S7 0.607 0.343 0.736
S8 0.607 0.871 0.264

Q: Among the records above, which one has the highest raw total energy?
A: Fe3Sn2S8

Copy entry 1 word for word.
This record from the Materials Project database describes a relaxed structure of Fe2SiS4. The functional is PBE.

raw total energy: -5.86 eV per atom
ΔH_f (0 K): -0.5885 eV per atom
E above lowest polymorph: 0.069 eV/atom
total magnetization: 7.5 μB per formula unit

Unit cell a=6.984 b=6.984 c=6.984 alpha=60.00 beta=60.00 gamma=60.00
Fractional coordinates of all 14 atoms:
Fe1 0.000 0.000 0.000
Fe2 0.000 0.000 0.500
Fe3 0.000 0.500 0.000
Fe4 0.500 0.000 0.000
Si1 0.375 0.375 0.375
Si2 0.625 0.625 0.625
S1 0.242 0.753 0.753
S2 0.247 0.247 0.247
S3 0.247 0.247 0.758
S4 0.247 0.758 0.247
S5 0.753 0.242 0.753
S6 0.753 0.753 0.242
S7 0.753 0.753 0.753
S8 0.758 0.247 0.247